1.
The following is a r2SCAN calculation of Gd2CCl after structural relaxation, from Materials Project.

The calculation puts the total magnetic moment at 14.61 μB per formula unit. The calculation puts the calculated volume at 20.3 Å³ per atom. The formation energy comes out at -1247 meV per atom. The total energy comes out at -26.970 eV/atom.

The structure belongs to space group R-3m (No. 166, hexagonal axes); the cell edges are 3.6971, 3.6971 and 20.5732 Å and the angles 90.00°, 90.00° and 120.00°. The inequivalent atoms are Gd at (0.0000, 0.0000, 0.2295), C at (0.0000, 0.0000, 0.5000) and Cl at (0.0000, 0.0000, 0.0000).

=====

2.
The following is a r2SCAN calculation of Gd2CCl2 after structural relaxation, from Materials Project.

The calculation puts the total magnetic moment at 14.00 μB per formula unit. The calculation puts the calculated volume at 23.2 Å³ per atom. The formation energy comes out at -1665 meV per atom. The total energy comes out at -23.474 eV/atom.

The structure belongs to space group P-3m1 (No. 164); the cell edges are 3.7652, 3.7652 and 9.4343 Å and the angles 90.00°, 90.00° and 120.00°. The inequivalent atoms are Gd at (0.3333, 0.6667, 0.3546), C at (0.0000, 0.0000, 0.5000) and Cl at (0.3333, 0.6667, 0.8309).